1.
Density functional theory data (PBE) for NaLiMg6O7 after structural relaxation.

```
data_NaLiMg6O7
_symmetry_space_group_name_H-M 'P 1'
_symmetry_Int_Tables_number 1
_cell_length_a 4.3304
_cell_length_b 4.3304
_cell_length_c 8.4516
_cell_angle_alpha 90.00
_cell_angle_beta 90.00
_cell_angle_gamma 90.00
loop_
_symmetry_equiv_pos_as_xyz
'x,y,z'
loop_
_atom_site_label
_atom_site_fract_x
_atom_site_fract_y
_atom_site_fract_z
_atom_site_occupancy
Na1 0.0000 0.0000 0.0000 1
Li1 0.0000 0.0000 0.4693 1
Mg1 0.0000 0.5000 0.2455 1
Mg2 0.0000 0.5000 0.7361 1
Mg3 0.5000 0.0000 0.2455 1
Mg4 0.5000 0.0000 0.7361 1
Mg5 0.5000 0.5000 0.4899 1
Mg6 0.5000 0.5000 0.9863 1
O1 0.0000 0.0000 0.2518 1
O2 0.0000 0.5000 0.5048 1
O3 0.0000 0.5000 0.9679 1
O4 0.5000 0.0000 0.5048 1
O5 0.5000 0.0000 0.9679 1
O6 0.5000 0.5000 0.2388 1
O7 0.5000 0.5000 0.7365 1
```

Computed properties:
distance to the lowest polymorph of the same formula = 0 meV/atom
crystal system = tetragonal
space group = P4mm, No. 99
formation energy = -2568.7 meV/atom
energy with MP2020 corrections = -86.000 eV/cell

***

2.
Density functional theory data (PBE) for Na3LiMg4Si12O30 after structural relaxation.

```
data_Na3LiMg4Si12O30
_symmetry_space_group_name_H-M 'P 1'
_symmetry_Int_Tables_number 1
_cell_length_a 10.1907
_cell_length_b 10.1907
_cell_length_c 14.6687
_cell_angle_alpha 90.00
_cell_angle_beta 90.00
_cell_angle_gamma 120.51
loop_
_symmetry_equiv_pos_as_xyz
'x,y,z'
loop_
_atom_site_label
_atom_site_fract_x
_atom_site_fract_y
_atom_site_fract_z
_atom_site_occupancy
Na1 0.0000 0.0000 0.0000 1
Na2 0.0000 0.0000 0.5000 1
Na3 0.2893 0.6134 0.0075 1
Na4 0.3866 0.7107 0.5075 1
Na5 0.6134 0.2893 0.5075 1
Na6 0.7107 0.3866 0.0075 1
Li1 0.0000 0.5000 0.2258 1
Li2 0.5000 0.0000 0.7258 1
Mg1 0.0000 0.5000 0.7206 1
Mg2 0.3134 0.6634 0.2352 1
Mg3 0.3366 0.6866 0.7352 1
Mg4 0.5000 0.0000 0.2206 1
Mg5 0.5000 0.5000 0.2304 1
Mg6 0.5000 0.5000 0.7304 1
Mg7 0.6634 0.3134 0.7352 1
Mg8 0.6866 0.3366 0.2352 1
Si1 0.0971 0.3628 0.3808 1
Si2 0.1064 0.1276 0.7941 1
Si3 0.1123 0.3647 0.5795 1
Si4 0.1132 0.7543 0.8747 1
Si5 0.1161 0.7530 0.0850 1
Si6 0.1276 0.1064 0.2941 1
Si7 0.1933 0.2611 0.1588 1
Si8 0.2457 0.8868 0.3747 1
Si9 0.2470 0.8839 0.5850 1
Si10 0.2611 0.1933 0.6588 1
Si11 0.3628 0.0971 0.8808 1
Si12 0.3647 0.1123 0.0795 1
Si13 0.6353 0.8877 0.0795 1
Si14 0.6372 0.9029 0.8808 1
Si15 0.7389 0.8067 0.6588 1
Si16 0.7530 0.1161 0.5850 1
Si17 0.7543 0.1132 0.3747 1
Si18 0.8067 0.7389 0.1588 1
Si19 0.8724 0.8936 0.2941 1
Si20 0.8839 0.2470 0.0850 1
Si21 0.8868 0.2457 0.8747 1
Si22 0.8877 0.6353 0.5795 1
Si23 0.8936 0.8724 0.7941 1
Si24 0.9029 0.6372 0.3808 1
O1 0.0243 0.2247 0.1209 1
O2 0.0255 0.2215 0.8370 1
O3 0.0696 0.6837 0.9795 1
O4 0.0744 0.7318 0.5849 1
O5 0.0881 0.7262 0.3900 1
O6 0.1305 0.2187 0.3777 1
O7 0.1458 0.6523 0.8050 1
O8 0.1517 0.4799 0.2988 1
O9 0.1585 0.6461 0.1422 1
O10 0.1636 0.2350 0.5841 1
O11 0.1707 0.4486 0.4796 1
O12 0.1741 0.4941 0.6574 1
O13 0.2187 0.1305 0.8777 1
O14 0.2215 0.0255 0.3370 1
O15 0.2247 0.0243 0.6209 1
O16 0.2350 0.1636 0.0841 1
O17 0.2682 0.9256 0.0849 1
O18 0.2738 0.9119 0.8900 1
O19 0.3163 0.9304 0.4795 1
O20 0.3199 0.4402 0.1576 1
O21 0.3413 0.4825 0.8993 1
O22 0.3477 0.8542 0.3050 1
O23 0.3499 0.5140 0.8098 1
O24 0.3539 0.8415 0.6422 1
O25 0.4402 0.3199 0.6576 1
O26 0.4486 0.1707 0.9796 1
O27 0.4799 0.1517 0.7988 1
O28 0.4825 0.3413 0.3993 1
O29 0.4860 0.6501 0.3098 1
O30 0.4941 0.1741 0.1574 1
O31 0.5059 0.8259 0.1574 1
O32 0.5140 0.3499 0.3098 1
O33 0.5175 0.6587 0.3993 1
O34 0.5201 0.8483 0.7988 1
O35 0.5514 0.8293 0.9796 1
O36 0.5598 0.6801 0.6576 1
O37 0.6461 0.1585 0.6422 1
O38 0.6501 0.4860 0.8098 1
O39 0.6523 0.1458 0.3050 1
O40 0.6587 0.5175 0.8993 1
O41 0.6801 0.5598 0.1576 1
O42 0.6837 0.0696 0.4795 1
O43 0.7262 0.0881 0.8900 1
O44 0.7318 0.0744 0.0849 1
O45 0.7650 0.8364 0.0841 1
O46 0.7753 0.9757 0.6209 1
O47 0.7785 0.9745 0.3370 1
O48 0.7813 0.8695 0.8777 1
O49 0.8259 0.5059 0.6574 1
O50 0.8293 0.5514 0.4796 1
O51 0.8364 0.7650 0.5841 1
O52 0.8415 0.3539 0.1422 1
O53 0.8483 0.5201 0.2988 1
O54 0.8542 0.3477 0.8050 1
O55 0.8695 0.7813 0.3777 1
O56 0.9119 0.2738 0.3900 1
O57 0.9256 0.2682 0.5849 1
O58 0.9304 0.3163 0.9795 1
O59 0.9745 0.7785 0.8370 1
O60 0.9757 0.7753 0.1209 1
```

Computed properties:
distance to the lowest polymorph of the same formula = 688 meV/atom
crystal system = orthorhombic
space group = Ccc2, No. 37
formation energy = -2443.3 meV/atom
energy with MP2020 corrections = -695.972 eV/cell

***

3.
Density functional theory data (PBE) for Na3LiMg4Si12O30 after structural relaxation.

```
data_Na3LiMg4Si12O30
_symmetry_space_group_name_H-M 'P 1'
_symmetry_Int_Tables_number 1
_cell_length_a 10.3127
_cell_length_b 10.3127
_cell_length_c 14.3484
_cell_angle_alpha 90.00
_cell_angle_beta 90.00
_cell_angle_gamma 120.11
loop_
_symmetry_equiv_pos_as_xyz
'x,y,z'
loop_
_atom_site_label
_atom_site_fract_x
_atom_site_fract_y
_atom_site_fract_z
_atom_site_occupancy
Na1 0.0000 0.0000 0.0000 1
Na2 0.0000 0.0000 0.5000 1
Na3 0.3312 0.6667 0.2500 1
Na4 0.3333 0.6688 0.7500 1
Na5 0.6667 0.3312 0.7500 1
Na6 0.6688 0.3333 0.2500 1
Li1 0.0000 0.5000 0.4999 1
Li2 0.5000 0.0000 0.9999 1
Mg1 0.0000 0.5000 0.0003 1
Mg2 0.3229 0.6616 0.5001 1
Mg3 0.3384 0.6771 0.0001 1
Mg4 0.5000 0.0000 0.5003 1
Mg5 0.5000 0.5000 0.9999 1
Mg6 0.5000 0.5000 0.4999 1
Mg7 0.6616 0.3229 0.0001 1
Mg8 0.6771 0.3384 0.5001 1
Si1 0.1135 0.3495 0.1387 1
Si2 0.1147 0.3531 0.3621 1
Si3 0.1145 0.7614 0.6379 1
Si4 0.1146 0.7648 0.8612 1
Si5 0.2354 0.3503 0.6388 1
Si6 0.2352 0.8854 0.3612 1
Si7 0.2365 0.3500 0.8613 1
Si8 0.2386 0.8855 0.1379 1
Si9 0.3495 0.1135 0.6387 1
Si10 0.3503 0.2354 0.1388 1
Si11 0.3500 0.2365 0.3613 1
Si12 0.3531 0.1147 0.8621 1
Si13 0.6469 0.8853 0.8621 1
Si14 0.6500 0.7635 0.3613 1
Si15 0.6497 0.7646 0.1388 1
Si16 0.6505 0.8865 0.6387 1
Si17 0.7614 0.1145 0.1379 1
Si18 0.7635 0.6500 0.8613 1
Si19 0.7648 0.1146 0.3612 1
Si20 0.7646 0.6497 0.6388 1
Si21 0.8854 0.2352 0.8612 1
Si22 0.8855 0.2386 0.6379 1
Si23 0.8853 0.6469 0.3621 1
Si24 0.8865 0.6505 0.1387 1
O1 0.0562 0.7834 0.3846 1
O2 0.0567 0.2734 0.6159 1
O3 0.0573 0.2745 0.8851 1
O4 0.0572 0.7854 0.1153 1
O5 0.1343 0.7371 0.7503 1
O6 0.1346 0.3973 0.2496 1
O7 0.1548 0.6585 0.9209 1
O8 0.1555 0.4960 0.0783 1
O9 0.1602 0.5010 0.4193 1
O10 0.1599 0.6590 0.5808 1
O11 0.2151 0.2721 0.3840 1
O12 0.2146 0.9428 0.6153 1
O13 0.2166 0.9438 0.8846 1
O14 0.2177 0.2743 0.1151 1
O15 0.2629 0.8657 0.2503 1
O16 0.2637 0.3989 0.7501 1
O17 0.2721 0.2151 0.8840 1
O18 0.2734 0.0567 0.1159 1
O19 0.2743 0.2177 0.6151 1
O20 0.2745 0.0573 0.3851 1
O21 0.3412 0.4965 0.9216 1
O22 0.3410 0.8401 0.0808 1
O23 0.3421 0.4970 0.5792 1
O24 0.3415 0.8452 0.4209 1
O25 0.3973 0.1346 0.7496 1
O26 0.3989 0.2637 0.2501 1
O27 0.4960 0.1555 0.5783 1
O28 0.4965 0.3412 0.4216 1
O29 0.4970 0.3421 0.0792 1
O30 0.4990 0.8398 0.9193 1
O31 0.5010 0.1602 0.9193 1
O32 0.5030 0.6579 0.0792 1
O33 0.5035 0.6588 0.4216 1
O34 0.5040 0.8445 0.5783 1
O35 0.6011 0.7363 0.2501 1
O36 0.6027 0.8654 0.7496 1
O37 0.6585 0.1548 0.4209 1
O38 0.6579 0.5030 0.5792 1
O39 0.6590 0.1599 0.0808 1
O40 0.6588 0.5035 0.9216 1
O41 0.7255 0.9427 0.3851 1
O42 0.7257 0.7823 0.6151 1
O43 0.7266 0.9433 0.1159 1
O44 0.7279 0.7849 0.8840 1
O45 0.7363 0.6011 0.7501 1
O46 0.7371 0.1343 0.2503 1
O47 0.7823 0.7257 0.1151 1
O48 0.7834 0.0562 0.8846 1
O49 0.7854 0.0572 0.6153 1
O50 0.7849 0.7279 0.3840 1
O51 0.8401 0.3410 0.5808 1
O52 0.8398 0.4990 0.4193 1
O53 0.8445 0.5040 0.0783 1
O54 0.8452 0.3415 0.9209 1
O55 0.8654 0.6027 0.2496 1
O56 0.8657 0.2629 0.7503 1
O57 0.9428 0.2146 0.1153 1
O58 0.9427 0.7255 0.8851 1
O59 0.9433 0.7266 0.6159 1
O60 0.9438 0.2166 0.3846 1
```

Computed properties:
distance to the lowest polymorph of the same formula = 0 meV/atom
crystal system = orthorhombic
space group = Ccc2, No. 37
formation energy = -3131.4 meV/atom
energy with MP2020 corrections = -764.779 eV/cell

***

4.
Density functional theory data (PBE) for LiMg6Nb after structural relaxation.

```
data_LiMg6Nb
_symmetry_space_group_name_H-M 'P 1'
_symmetry_Int_Tables_number 1
_cell_length_a 4.9807
_cell_length_b 6.2202
_cell_length_c 10.8443
_cell_angle_alpha 90.00
_cell_angle_beta 90.00
_cell_angle_gamma 90.00
loop_
_symmetry_equiv_pos_as_xyz
'x,y,z'
loop_
_atom_site_label
_atom_site_fract_x
_atom_site_fract_y
_atom_site_fract_z
_atom_site_occupancy
Mg1 0.5000 0.7554 0.9163 1
Mg2 0.5000 0.2446 0.9163 1
Mg3 0.0000 0.7383 0.0878 1
Mg4 0.5000 0.5000 0.6651 1
Mg5 0.0000 0.7617 0.5878 1
Mg6 0.5000 0.0000 0.1651 1
Mg7 0.0000 0.5000 0.8332 1
Mg8 0.0000 0.0000 0.3332 1
Mg9 0.5000 0.7446 0.4163 1
Mg10 0.0000 0.2617 0.0878 1
Mg11 0.0000 0.2383 0.5878 1
Mg12 0.5000 0.2554 0.4163 1
Li1 0.0000 0.0000 0.8288 1
Li2 0.0000 0.5000 0.3288 1
Nb1 0.5000 0.5000 0.1646 1
Nb2 0.5000 0.0000 0.6646 1
```

Computed properties:
distance to the lowest polymorph of the same formula = 0 meV/atom
formation energy = 181.1 meV/atom

***

5.
Density functional theory data (PBE) for LiMg6Nb after structural relaxation.

```
data_LiMg6Nb
_symmetry_space_group_name_H-M 'P 1'
_symmetry_Int_Tables_number 1
_cell_length_a 4.9618
_cell_length_b 6.4167
_cell_length_c 10.6656
_cell_angle_alpha 90.00
_cell_angle_beta 90.00
_cell_angle_gamma 90.00
loop_
_symmetry_equiv_pos_as_xyz
'x,y,z'
loop_
_atom_site_label
_atom_site_fract_x
_atom_site_fract_y
_atom_site_fract_z
_atom_site_occupancy
Mg1 0.0000 0.0000 0.6680 1
Mg2 0.0000 0.0000 0.1726 1
Mg3 0.5000 0.7450 0.5823 1
Mg4 0.5000 0.2450 0.0823 1
Mg5 0.0000 0.2562 0.9114 1
Mg6 0.0000 0.5000 0.1680 1
Mg7 0.0000 0.7562 0.4114 1
Mg8 0.0000 0.2438 0.4114 1
Mg9 0.5000 0.2550 0.5823 1
Mg10 0.5000 0.7550 0.0823 1
Mg11 0.0000 0.5000 0.6726 1
Mg12 0.0000 0.7438 0.9114 1
Li1 0.5000 0.0000 0.8359 1
Li2 0.5000 0.5000 0.3359 1
Nb1 0.5000 0.5000 0.8362 1
Nb2 0.5000 0.0000 0.3362 1
```

Computed properties:
distance to the lowest polymorph of the same formula = 9 meV/atom
formation energy = 189.6 meV/atom

***

6.
Density functional theory data (PBE) for LiMg6Ni after structural relaxation.

```
data_LiMg6Ni
_symmetry_space_group_name_H-M 'P 1'
_symmetry_Int_Tables_number 1
_cell_length_a 4.9564
_cell_length_b 6.1832
_cell_length_c 10.3951
_cell_angle_alpha 90.00
_cell_angle_beta 90.00
_cell_angle_gamma 90.00
loop_
_symmetry_equiv_pos_as_xyz
'x,y,z'
loop_
_atom_site_label
_atom_site_fract_x
_atom_site_fract_y
_atom_site_fract_z
_atom_site_occupancy
Li1 0.0000 0.0000 0.0000 1
Li2 0.0000 0.5000 0.5000 1
Mg1 0.0000 0.0000 0.4939 1
Mg2 0.0000 0.2355 0.2375 1
Mg3 0.0000 0.2645 0.7375 1
Mg4 0.0000 0.5000 0.9939 1
Mg5 0.0000 0.7355 0.7375 1
Mg6 0.0000 0.7645 0.2375 1
Mg7 0.5000 0.0000 0.6657 1
Mg8 0.5000 0.2446 0.9189 1
Mg9 0.5000 0.2554 0.4189 1
Mg10 0.5000 0.5000 0.1657 1
Mg11 0.5000 0.7446 0.4189 1
Mg12 0.5000 0.7554 0.9189 1
Ni1 0.5000 0.0000 0.1682 1
Ni2 0.5000 0.5000 0.6682 1
```

Computed properties:
distance to the lowest polymorph of the same formula = 5 meV/atom
crystal system = orthorhombic
space group = Amm2, No. 38
formation energy = 28.5 meV/atom

***

> The highest formation energy belongs to which entry?

number 5